Below is a geometry-optimized KMnIO6 structure, with properties calculated at the PBE with a Hubbard U level.

Calculated values
energy of formation from the pure elements = -13.1 eV per formula unit
space group = P1

Cell lengths 5.1259, 5.1319, 24.4442 Å; angles 90.17, 90.08, 120.32 degrees
With the nearest neighbours (Å) after each atom.
Atoms (fractional coordinates):
O1 0.0574 0.7207 0.5448  1 Mn 1.87, 1 I 1.94
O2 0.2834 0.9543 0.9559  1 I 1.92, 1 Mn 1.95
O3 0.0454 0.7171 0.0441  1 I 1.92, 1 Mn 1.95
O4 0.0492 0.7183 0.7941  1 I 1.92, 1 Mn 1.94
O5 0.2688 0.3257 0.5456  1 I 1.90, 1 Mn 1.99
O6 0.0723 0.3422 0.4552  1 Mn 1.87, 1 I 1.94
O7 0.0464 0.3289 0.7059  1 I 1.92, 1 Mn 1.93
O8 0.0444 0.3273 0.9558  1 I 1.92, 1 Mn 1.94
O9 0.6597 0.9296 0.5447  1 Mn 1.89, 1 I 1.93
O10 0.2851 0.3308 0.0441  1 I 1.91, 1 Mn 1.95
O11 0.6695 0.7149 0.2059  1 I 1.91, 1 Mn 1.94
O12 0.6722 0.9556 0.0442  1 I 1.92, 1 Mn 1.94
O13 0.6694 0.7148 0.9558  1 I 1.91, 1 Mn 1.94
O14 0.6659 0.7159 0.7058  1 I 1.92, 1 Mn 1.92
O15 0.6729 0.7311 0.4545  1 I 1.90, 1 Mn 2.00
O16 0.0446 0.3273 0.2058  1 I 1.92, 1 Mn 1.94
O17 0.2790 0.9452 0.4554  1 Mn 1.89, 1 I 1.93
O18 0.6723 0.9558 0.2942  1 I 1.92, 1 Mn 1.94
O19 0.6706 0.9531 0.7941  1 I 1.92, 1 Mn 1.93
O20 0.2843 0.3344 0.7942  1 I 1.92, 1 Mn 1.93
O21 0.0454 0.7169 0.2941  1 I 1.92, 1 Mn 1.95
O22 0.2853 0.3308 0.2942  1 I 1.91, 1 Mn 1.95
O23 0.2822 0.9508 0.7059  1 I 1.92, 1 Mn 1.94
O24 0.2835 0.9542 0.2059  1 I 1.92, 1 Mn 1.95
Mn1 0.3329 0.6669 0.2500  6 O 1.94-1.95
Mn2 0.3335 0.6662 0.7500  6 O 1.92-1.94
Mn3 0.3330 0.6669 0.0000  6 O 1.94-1.95
Mn4 0.3242 0.6713 0.5000  6 O 1.87-2.00
K1 0.6654 0.3321 0.6249  6 O 2.78-2.83
K2 0.6669 0.3333 0.8749  6 O 2.77-2.79
K3 0.6672 0.3347 0.3751  6 O 2.78-2.84
K4 0.6667 0.3332 0.1250  6 O 2.77-2.78
I1 0.0005 0.9998 0.7500  6 O 1.92
I2 0.9996 0.0002 0.5000  6 O 1.90-1.94
I3 0.0004 0.9998 0.0000  6 O 1.91-1.92
I4 0.0004 0.9999 0.2500  6 O 1.91-1.92